1.
SrFe3P3O12 | PBE+U | optimized geometry

a = 9.237 Å, b = 9.237 Å, c = 9.237 Å
α = 138.01°, β = 110.07°, γ = 85.05°
Positions (direct):
O 0.158 0.116 0.959
O 0.639 0.297 0.935
O 0.346 0.704 0.778
O 0.154 0.932 0.358
O 0.638 0.703 0.342
O 0.342 0.301 0.959
O 0.842 0.884 0.041
O 0.846 0.068 0.642
O 0.862 0.204 0.065
O 0.134 0.490 0.123
O 0.866 0.510 0.877
O 0.634 0.510 0.644
O 0.366 0.490 0.356
O 0.654 0.296 0.222
O 0.926 0.704 0.358
O 0.861 0.796 0.658
O 0.658 0.699 0.041
O 0.138 0.796 0.935
O 0.362 0.297 0.658
O 0.574 0.932 0.778
O 0.074 0.296 0.642
O 0.139 0.204 0.342
O 0.361 0.703 0.065
O 0.426 0.068 0.222
P 0.823 0.823 0.500
P 0.177 0.177 0.500
P 0.250 0.344 0.094
P 0.750 0.656 0.906
P 0.323 0.823 0.000
P 0.677 0.177 0.000
Sr 0.250 0.850 0.600
Sr 0.750 0.150 0.400
Fe 0.118 0.618 0.000
Fe 0.618 0.618 0.500
Fe 0.000 0.000 0.000
Fe 0.882 0.382 0.000
Fe 0.500 0.500 0.000
Fe 0.382 0.382 0.500

uncorrected energy = -7.183 eV per atom
corrected total energy (MP2020 scheme) = -7.973 eV per atom
crystal system = orthorhombic


2.
Li2Mn2SbO6 | PBE+U | optimized geometry

a = 5.357 Å, b = 10.293 Å, c = 5.357 Å
α = 90.02°, β = 117.52°, γ = 90.01°
Positions (direct):
Mn 0.342 0.000 0.658
Mn 0.828 0.500 0.172
Mn 0.672 0.000 0.328
Mn 0.158 0.500 0.842
Li 0.101 0.750 0.601
Li 0.904 0.250 0.403
Li 0.597 0.750 0.096
Li 0.399 0.250 0.899
O 0.203 0.382 0.536
O 0.338 0.092 0.300
O 0.036 0.118 0.703
O 0.464 0.618 0.797
O 0.956 0.892 0.290
O 0.162 0.592 0.200
O 0.700 0.908 0.662
O 0.544 0.392 0.210
O 0.710 0.108 0.044
O 0.790 0.608 0.456
O 0.297 0.882 0.964
O 0.800 0.408 0.838
Sb 0.490 0.500 0.510
Sb 0.010 0.000 0.990

uncorrected energy = -6.459 eV per atom
corrected total energy (MP2020 scheme) = -7.137 eV per atom
crystal system = orthorhombic


3.
BaDyFe4O7 | PBE+U | optimized geometry

a = 6.477 Å, b = 6.477 Å, c = 6.477 Å
α = 121.25°, β = 121.25°, γ = 87.85°
Positions (direct):
Fe 0.591 0.861 0.212
Fe 0.649 0.379 0.788
Fe 0.621 0.409 0.269
Fe 0.139 0.351 0.731
O 0.245 0.245 0.000
O 0.275 0.176 0.498
O 0.750 0.250 0.500
O 0.223 0.725 0.901
O 0.678 0.777 0.502
O 0.755 0.755 0.000
O 0.824 0.322 0.099
Ba 0.250 0.750 0.500
Dy 0.000 0.000 0.000

uncorrected energy = -6.893 eV per atom
corrected total energy (MP2020 scheme) = -7.957 eV per atom
crystal system = tetragonal


4.
Sr4LaMn5O13 | PBE+U | optimized geometry

a = 7.659 Å, b = 8.886 Å, c = 9.646 Å
α = 90.34°, β = 66.61°, γ = 90.00°
Positions (direct):
O 0.043 0.801 0.914
O 0.702 0.714 0.597
O 0.350 0.603 0.790
O 0.099 0.081 0.801
O 0.399 0.920 0.202
O 0.900 0.913 0.200
O 0.958 0.196 0.084
O 0.798 0.271 0.404
O 0.505 0.508 0.990
O 0.454 0.160 0.590
O 0.456 0.205 0.088
O 0.957 0.160 0.590
O 0.294 0.281 0.412
O 0.843 0.581 0.315
O 0.542 0.814 0.916
O 0.157 0.419 0.686
O 0.545 0.836 0.414
O 0.859 0.603 0.790
O 0.201 0.715 0.597
O 0.342 0.583 0.315
O 0.663 0.409 0.674
O 0.146 0.399 0.207
O 0.599 0.091 0.803
O 0.003 0.503 0.994
O 0.041 0.836 0.414
O 0.647 0.399 0.207
Mn 0.000 0.999 0.001
Mn 0.803 0.802 0.394
Mn 0.196 0.193 0.608
Mn 0.499 0.006 0.002
Mn 0.901 0.394 0.198
Mn 0.100 0.605 0.801
Mn 0.400 0.397 0.200
Mn 0.600 0.607 0.799
Mn 0.698 0.192 0.604
Mn 0.303 0.804 0.394
La 0.499 0.498 0.503
La 0.998 0.498 0.503
Sr 0.601 0.112 0.297
Sr 0.397 0.888 0.706
Sr 0.305 0.318 0.897
Sr 0.202 0.685 0.099
Sr 0.896 0.888 0.706
Sr 0.699 0.685 0.099
Sr 0.798 0.318 0.897
Sr 0.102 0.112 0.297

uncorrected energy = -7.162 eV per atom
corrected total energy (MP2020 scheme) = -7.913 eV per atom
crystal system = monoclinic


5.
Li4V3P8O29 | PBE+U | optimized geometry

a = 9.763 Å, b = 9.772 Å, c = 14.109 Å
α = 89.93°, β = 90.18°, γ = 119.84°
Positions (direct):
O 0.230 0.017 0.432
O 0.246 0.233 0.935
O 0.917 0.382 0.331
O 0.336 0.820 0.825
O 0.515 0.329 0.169
O 0.081 0.743 0.162
O 0.325 0.664 0.478
O 0.650 0.325 0.526
O 0.183 0.526 0.818
O 0.618 0.537 0.332
O 0.380 0.899 0.180
O 0.621 0.099 0.817
O 0.918 0.261 0.830
O 0.207 0.999 0.251
O 0.676 0.340 0.025
O 0.472 0.091 0.329
O 0.523 0.620 0.177
O 0.673 0.185 0.171
O 0.999 0.756 0.932
O 0.795 0.000 0.750
O 0.915 0.658 0.334
O 0.261 0.918 0.662
O 0.746 0.084 0.340
O 0.998 0.205 0.248
O 0.529 0.910 0.674
O 0.766 0.982 0.568
O 0.340 0.080 0.838
O 0.188 0.672 0.325
O 0.746 0.659 0.835
O 0.092 0.476 0.180
O 0.010 0.800 0.755
O 0.661 0.916 0.158
O 0.811 0.331 0.673
O 0.509 0.183 0.672
O 0.656 0.739 0.670
O 0.762 0.012 0.931
O 0.323 0.511 0.332
O 0.326 0.671 0.972
O 0.241 0.998 0.072
O 0.477 0.660 0.825
O 0.385 0.471 0.675
O 0.907 0.524 0.821
O 0.817 0.484 0.176
O 0.005 0.801 0.574
O 0.765 0.758 0.070
O 0.342 0.260 0.334
O 0.252 0.338 0.158
O 0.228 0.228 0.573
O 0.794 0.795 0.424
O 0.666 0.480 0.677
O 0.794 0.796 0.248
O 0.489 0.812 0.334
O 0.478 0.380 0.824
O 0.207 0.207 0.753
O 0.079 0.618 0.668
O 0.008 0.217 0.426
O 0.992 0.237 0.070
O 0.087 0.344 0.664
P 0.688 0.909 0.659
P 0.318 0.228 0.844
P 0.776 0.092 0.840
P 0.332 0.666 0.867
P 0.663 0.333 0.631
P 0.670 0.335 0.131
P 0.335 0.666 0.372
P 0.915 0.683 0.841
P 0.229 0.314 0.661
P 0.919 0.224 0.343
P 0.229 0.909 0.162
P 0.685 0.770 0.156
P 0.316 0.090 0.342
P 0.775 0.692 0.341
P 0.085 0.779 0.657
P 0.083 0.316 0.157
V 0.438 0.000 0.749
V 0.570 0.566 0.752
V 0.435 0.437 0.248
V 0.999 0.434 0.745
V 0.569 0.001 0.250
V 0.003 0.566 0.258
Li 0.224 0.910 0.945
Li 0.670 0.902 0.440
Li 0.235 0.335 0.440
Li 0.775 0.088 0.058
Li 0.328 0.092 0.556
Li 0.903 0.675 0.060
Li 0.977 0.950 0.496
Li 0.313 0.228 0.062

uncorrected energy = -7.041 eV per atom
corrected total energy (MP2020 scheme) = -7.610 eV per atom
crystal system = triclinic


6.
Li11Mn12B12O36 | PBE+U | optimized geometry

a = 9.424 Å, b = 9.742 Å, c = 9.903 Å
α = 115.32°, β = 110.39°, γ = 87.70°
Positions (direct):
O 0.228 0.863 0.963
O 0.563 0.364 0.129
O 0.879 0.014 0.831
O 0.014 0.241 0.069
O 0.895 0.862 0.294
O 0.451 0.483 0.331
O 0.681 0.751 0.909
O 0.765 0.488 0.983
O 0.101 0.654 0.198
O 0.231 0.364 0.465
O 0.770 0.134 0.035
O 0.323 0.248 0.096
O 0.559 0.864 0.628
O 0.783 0.983 0.496
O 0.770 0.641 0.544
O 0.321 0.747 0.594
O 0.658 0.746 0.262
O 0.883 0.521 0.345
O 0.678 0.253 0.402
O 0.348 0.753 0.238
O 0.439 0.137 0.371
O 0.990 0.747 0.931
O 0.438 0.636 0.870
O 0.344 0.251 0.737
O 0.551 0.518 0.670
O 0.550 0.017 0.169
O 0.991 0.247 0.428
O 0.010 0.756 0.576
O 0.218 0.520 0.003
O 0.117 0.983 0.165
O 0.657 0.243 0.759
O 0.105 0.140 0.708
O 0.215 0.014 0.505
O 0.896 0.365 0.798
O 0.449 0.982 0.830
O 0.116 0.482 0.664
B 0.222 0.132 0.650
B 0.556 0.134 0.314
B 0.223 0.638 0.145
B 0.446 0.367 0.185
B 0.778 0.866 0.351
B 0.442 0.867 0.684
B 0.888 0.635 0.486
B 0.558 0.631 0.816
B 0.774 0.367 0.849
B 0.111 0.868 0.020
B 0.889 0.129 0.980
B 0.111 0.367 0.519
Li 0.711 0.532 0.166
Li 0.303 0.966 0.339
Li 0.637 0.466 0.503
Li 0.362 0.035 0.996
Li 0.030 0.534 0.829
Li 0.030 0.032 0.330
Li 0.697 0.032 0.661
Li 0.304 0.464 0.837
Li 0.637 0.966 0.005
Li 0.971 0.968 0.672
Li 0.362 0.533 0.495
Mn 0.456 0.294 0.601
Mn 0.209 0.207 0.232
Mn 0.116 0.786 0.431
Mn 0.884 0.695 0.065
Mn 0.115 0.301 0.942
Mn 0.546 0.205 0.898
Mn 0.787 0.796 0.772
Mn 0.547 0.704 0.399
Mn 0.211 0.705 0.732
Mn 0.796 0.299 0.267
Mn 0.458 0.794 0.102
Mn 0.878 0.206 0.565

uncorrected energy = -7.342 eV per atom
corrected total energy (MP2020 scheme) = -7.972 eV per atom
crystal system = triclinic